First-principles (PBE-GGA) data for a relaxed RbCuCl3 crystal, as listed in Materials Project.

Volume in Å³ per atom: 25.64
E_form in eV per atom: -1.48

Geometry as CIF:
```
data_RbCuCl3
_cell_length_a 7.334
_cell_length_b 7.334
_cell_length_c 9.533
_cell_angle_alpha 90.00
_cell_angle_beta 90.00
_cell_angle_gamma 90.00
_space_group_name_H-M_alt 'I 4/m c m'
_space_group_IT_number 140
_space_group_name_Hall '-I 4 2c'
loop_
_atom_site_label
_atom_site_fract_x
_atom_site_fract_y
_atom_site_fract_z
Rb1 0.000 0.000 0.250
Cu1 0.000 0.500 0.000
Cl1 0.000 0.500 0.250
Cl2 0.215 0.285 0.000
```


First-principles (PBE-GGA) data for a relaxed Rb2CuCl4 crystal, as listed in Materials Project.

Volume in Å³ per atom: 29.32
E_form in eV per atom: -1.69

Geometry as CIF:
```
data_Rb2CuCl4
_cell_length_a 15.882
_cell_length_b 7.187
_cell_length_c 7.193
_cell_angle_alpha 90.00
_cell_angle_beta 90.00
_cell_angle_gamma 90.00
_space_group_name_H-M_alt 'C m c e'
_space_group_IT_number 64
_space_group_name_Hall '-C 2ac 2'
loop_
_atom_site_label
_atom_site_fract_x
_atom_site_fract_y
_atom_site_fract_z
Rb1 0.139 0.000 0.000
Cu1 0.000 0.000 0.500
Cl1 0.000 0.227 0.275
Cl2 0.150 0.000 0.500
```


First-principles (PBE-GGA) data for a relaxed RbCuCl3 crystal, as listed in Materials Project.

Volume in Å³ per atom: 25.79
E_form in eV per atom: -1.43

Geometry as CIF:
```
data_RbCuCl3
_cell_length_a 7.0606
_cell_length_b 7.0606
_cell_length_c 5.9746
_cell_angle_alpha 90.00
_cell_angle_beta 90.00
_cell_angle_gamma 120.00
_space_group_name_H-M_alt 'P 63/m m c'
_space_group_IT_number 194
_space_group_name_Hall '-P 6c 2c'
loop_
_atom_site_label
_atom_site_fract_x
_atom_site_fract_y
_atom_site_fract_z
Rb1 0.3333 0.6667 0.2500
Cu1 0.0000 0.0000 0.0000
Cl1 0.1589 0.3178 0.7500
```


First-principles (PBE-GGA) data for a relaxed Rb2CuSbCl6 crystal, as listed in Materials Project.

Volume in Å³ per atom: 28.24
E_form in eV per atom: -1.59

Geometry as CIF:
```
data_Rb2CuSbCl6
_cell_length_a 10.414
_cell_length_b 10.414
_cell_length_c 10.414
_cell_angle_alpha 90.00
_cell_angle_beta 90.00
_cell_angle_gamma 90.00
_space_group_name_H-M_alt 'F m -3 m'
_space_group_IT_number 225
_space_group_name_Hall '-F 4 2 3'
loop_
_atom_site_label
_atom_site_fract_x
_atom_site_fract_y
_atom_site_fract_z
Rb1 0.250 0.250 0.250
Cu1 0.000 0.000 0.000
Sb1 0.000 0.000 0.500
Cl1 0.000 0.000 0.242
```


First-principles (PBE-GGA) data for a relaxed Rb2ScCuCl6 crystal, as listed in Materials Project.

Volume in Å³ per atom: 26.24
E_form in eV per atom: -2.08

Geometry as CIF:
```
data_Rb2ScCuCl6
_cell_length_a 10.163
_cell_length_b 10.163
_cell_length_c 10.163
_cell_angle_alpha 90.00
_cell_angle_beta 90.00
_cell_angle_gamma 90.00
_space_group_name_H-M_alt 'F m -3 m'
_space_group_IT_number 225
_space_group_name_Hall '-F 4 2 3'
loop_
_atom_site_label
_atom_site_fract_x
_atom_site_fract_y
_atom_site_fract_z
Rb1 0.250 0.250 0.250
Sc1 0.000 0.000 0.000
Cu1 0.000 0.000 0.500
Cl1 0.000 0.000 0.247
```


First-principles (PBE-GGA) data for a relaxed Rb2TaCuCl6 crystal, as listed in Materials Project.

Volume in Å³ per atom: 25.88
E_form in eV per atom: -1.59

Geometry as CIF:
```
data_Rb2TaCuCl6
_cell_length_a 10.116
_cell_length_b 10.116
_cell_length_c 10.116
_cell_angle_alpha 90.00
_cell_angle_beta 90.00
_cell_angle_gamma 90.00
_space_group_name_H-M_alt 'F m -3 m'
_space_group_IT_number 225
_space_group_name_Hall '-F 4 2 3'
loop_
_atom_site_label
_atom_site_fract_x
_atom_site_fract_y
_atom_site_fract_z
Rb1 0.250 0.250 0.250
Ta1 0.000 0.000 0.000
Cu1 0.000 0.000 0.500
Cl1 0.000 0.000 0.247
```


First-principles (PBE-GGA) data for a relaxed Rb2TmCuCl6 crystal, as listed in Materials Project.

Volume in Å³ per atom: 27.78
E_form in eV per atom: -2.14

Geometry as CIF:
```
data_Rb2TmCuCl6
_cell_length_a 10.358
_cell_length_b 10.358
_cell_length_c 10.358
_cell_angle_alpha 90.00
_cell_angle_beta 90.00
_cell_angle_gamma 90.00
_space_group_name_H-M_alt 'F m -3 m'
_space_group_IT_number 225
_space_group_name_Hall '-F 4 2 3'
loop_
_atom_site_label
_atom_site_fract_x
_atom_site_fract_y
_atom_site_fract_z
Rb1 0.250 0.250 0.250
Tm1 0.000 0.000 0.000
Cu1 0.000 0.000 0.500
Cl1 0.000 0.000 0.251
```


First-principles (PBE-GGA) data for a relaxed Rb2YCuCl6 crystal, as listed in Materials Project.

Volume in Å³ per atom: 28.37
E_form in eV per atom: -2.13

Geometry as CIF:
```
data_Rb2YCuCl6
_cell_length_a 10.430
_cell_length_b 10.430
_cell_length_c 10.430
_cell_angle_alpha 90.00
_cell_angle_beta 90.00
_cell_angle_gamma 90.00
_space_group_name_H-M_alt 'F m -3 m'
_space_group_IT_number 225
_space_group_name_Hall '-F 4 2 3'
loop_
_atom_site_label
_atom_site_fract_x
_atom_site_fract_y
_atom_site_fract_z
Rb1 0.250 0.250 0.250
Y1 0.000 0.000 0.000
Cu1 0.000 0.000 0.500
Cl1 0.000 0.000 0.254
```


First-principles (PBE-GGA) data for a relaxed CuRe2Cl crystal, as listed in Materials Project.

Volume in Å³ per atom: 13.84
E_form in eV per atom: 1.08

Geometry as CIF:
```
data_CuRe2Cl
_cell_length_a 6.049
_cell_length_b 6.049
_cell_length_c 6.049
_cell_angle_alpha 90.00
_cell_angle_beta 90.00
_cell_angle_gamma 90.00
_space_group_name_H-M_alt 'F m -3 m'
_space_group_IT_number 225
_space_group_name_Hall '-F 4 2 3'
loop_
_atom_site_label
_atom_site_fract_x
_atom_site_fract_y
_atom_site_fract_z
Cu1 0.000 0.000 0.000
Re1 0.250 0.250 0.250
Cl1 0.000 0.000 0.500
```


First-principles (PBE-GGA) data for a relaxed CuSCl crystal, as listed in Materials Project.

Volume in Å³ per atom: 22.53
E_form in eV per atom: -0.61

Geometry as CIF:
```
data_CuSCl
_cell_length_a 7.900
_cell_length_b 11.670
_cell_length_c 9.218
_cell_angle_alpha 90.00
_cell_angle_beta 107.40
_cell_angle_gamma 90.00
_space_group_name_H-M_alt 'P 1 21/m 1'
_space_group_IT_number 11
loop_
_space_group_symop_operation_xyz
'x,y,z'
'-x,-y,-z'
'-x,y+1/2,-z'
'x,-y+1/2,z'
loop_
_atom_site_label
_atom_site_fract_x
_atom_site_fract_y
_atom_site_fract_z
Cu1 0.082 0.127 0.054
Cu2 0.335 0.250 0.930
Cu3 0.351 0.750 0.700
Cu4 0.398 0.120 0.419
S1 0.093 0.164 0.304
S2 0.353 0.038 0.183
S3 0.472 0.624 0.899
Cl1 0.136 0.103 0.827
Cl2 0.158 0.750 0.037
Cl3 0.293 0.601 0.523
Cl4 0.409 0.250 0.610
```


First-principles (PBE-GGA) data for a relaxed Sr2CuS2Cl2 crystal, as listed in Materials Project.

Volume in Å³ per atom: 23.81
E_form in eV per atom: -1.73

Geometry as CIF:
```
data_Sr2CuS2Cl2
_cell_length_a 4.722
_cell_length_b 4.722
_cell_length_c 14.949
_cell_angle_alpha 90.00
_cell_angle_beta 90.00
_cell_angle_gamma 90.00
_space_group_name_H-M_alt 'I 4/m m m'
_space_group_IT_number 139
_space_group_name_Hall '-I 4 2'
loop_
_atom_site_label
_atom_site_fract_x
_atom_site_fract_y
_atom_site_fract_z
Sr1 0.000 0.000 0.147
Cu1 0.000 0.000 0.500
S1 0.000 0.000 0.339
Cl1 0.000 0.500 0.000
```


First-principles (PBE-GGA) data for a relaxed Sr2CuS2Cl2 crystal, as listed in Materials Project.

Volume in Å³ per atom: 24.40
E_form in eV per atom: -1.95

Geometry as CIF:
```
data_Sr2CuS2Cl2
_cell_length_a 4.609
_cell_length_b 4.609
_cell_length_c 16.076
_cell_angle_alpha 90.00
_cell_angle_beta 90.00
_cell_angle_gamma 90.00
_space_group_name_H-M_alt 'I 4/m m m'
_space_group_IT_number 139
_space_group_name_Hall '-I 4 2'
loop_
_atom_site_label
_atom_site_fract_x
_atom_site_fract_y
_atom_site_fract_z
Sr1 0.000 0.000 0.125
Cu1 0.000 0.000 0.500
S1 0.000 0.500 0.000
Cl1 0.000 0.000 0.310
```


First-principles (PBE-GGA) data for a relaxed Cu3TeS3Cl crystal, as listed in Materials Project.

Volume in Å³ per atom: 20.37
Largest piezoelectric modulus in C/m²: 0.12
E_form in eV per atom: -0.48

Geometry as CIF:
```
data_Cu3TeS3Cl
_cell_length_a 7.4104
_cell_length_b 7.4104
_cell_length_c 10.2814
_cell_angle_alpha 90.00
_cell_angle_beta 90.00
_cell_angle_gamma 120.00
_space_group_name_H-M_alt 'R 3 m'
_space_group_IT_number 160
_space_group_name_Hall 'R 3 -2"'
loop_
_atom_site_label
_atom_site_fract_x
_atom_site_fract_y
_atom_site_fract_z
Cu1 0.0499 0.5249 0.0000
Te1 0.0000 0.0000 0.9934
S1 0.9997 0.4999 0.7743
Cl1 0.0000 0.0000 0.6777
```


First-principles (PBE-GGA) data for a relaxed CuTeSCl crystal, as listed in Materials Project.

Volume in Å³ per atom: 26.02
E_form in eV per atom: -0.57

Geometry as CIF:
```
data_CuTeSCl
_cell_length_a 7.849
_cell_length_b 4.926
_cell_length_c 12.004
_cell_angle_alpha 90.00
_cell_angle_beta 116.25
_cell_angle_gamma 90.00
_space_group_name_H-M_alt 'P 1 21/c 1'
_space_group_IT_number 14
loop_
_space_group_symop_operation_xyz
'x,y,z'
'-x,-y,-z'
'-x,y+1/2,-z+1/2'
'x,-y+1/2,z+1/2'
loop_
_atom_site_label
_atom_site_fract_x
_atom_site_fract_y
_atom_site_fract_z
Cu1 0.186 0.131 0.252
Te1 0.286 0.007 0.643
S1 0.415 0.684 0.831
Cl1 0.075 0.152 0.878
```


First-principles (PBE-GGA) data for a relaxed CuSe2Cl crystal, as listed in Materials Project.

Volume in Å³ per atom: 26.40
E_form in eV per atom: -0.44

Geometry as CIF:
```
data_CuSe2Cl
_cell_length_a 7.758
_cell_length_b 4.961
_cell_length_c 12.060
_cell_angle_alpha 90.00
_cell_angle_beta 114.50
_cell_angle_gamma 90.00
_space_group_name_H-M_alt 'P 1 21/c 1'
_space_group_IT_number 14
loop_
_space_group_symop_operation_xyz
'x,y,z'
'-x,-y,-z'
'-x,y+1/2,-z+1/2'
'x,-y+1/2,z+1/2'
loop_
_atom_site_label
_atom_site_fract_x
_atom_site_fract_y
_atom_site_fract_z
Cu1 0.176 0.140 0.248
Se1 0.303 0.031 0.658
Se2 0.417 0.690 0.838
Cl1 0.084 0.110 0.877
```


First-principles (PBE-GGA) data for a relaxed CuTe2Cl crystal, as listed in Materials Project.

Volume in Å³ per atom: 29.48
E_form in eV per atom: -0.42

Geometry as CIF:
```
data_CuTe2Cl
_cell_length_a 8.242
_cell_length_b 5.162
_cell_length_c 12.412
_cell_angle_alpha 90.00
_cell_angle_beta 116.72
_cell_angle_gamma 90.00
_space_group_name_H-M_alt 'P 1 21/c 1'
_space_group_IT_number 14
loop_
_space_group_symop_operation_xyz
'x,y,z'
'-x,-y,-z'
'-x,y+1/2,-z+1/2'
'x,-y+1/2,z+1/2'
loop_
_atom_site_label
_atom_site_fract_x
_atom_site_fract_y
_atom_site_fract_z
Cu1 0.170 0.139 0.248
Te1 0.271 0.023 0.641
Te2 0.415 0.703 0.855
Cl1 0.085 0.112 0.873
```


First-principles (PBE-GGA) data for a relaxed TlCuCl3 crystal, as listed in Materials Project.

Volume in Å³ per atom: 26.77
E_form in eV per atom: -1.08

Geometry as CIF:
```
data_TlCuCl3
_cell_length_a 4.168
_cell_length_b 14.180
_cell_length_c 9.205
_cell_angle_alpha 90.00
_cell_angle_beta 100.25
_cell_angle_gamma 90.00
_space_group_name_H-M_alt 'P 1 21/c 1'
_space_group_IT_number 14
loop_
_space_group_symop_operation_xyz
'x,y,z'
'-x,-y,-z'
'-x,y+1/2,-z+1/2'
'x,-y+1/2,z+1/2'
loop_
_atom_site_label
_atom_site_fract_x
_atom_site_fract_y
_atom_site_fract_z
Tl1 0.244 0.168 0.447
Cu1 0.245 0.548 0.650
Cl1 0.187 0.095 0.031
Cl2 0.281 0.693 0.756
Cl3 0.317 0.508 0.180
```


First-principles (PBE-GGA) data for a relaxed TlCuCl3 crystal, as listed in Materials Project.

Volume in Å³ per atom: 23.05
E_form in eV per atom: -1.06

Geometry as CIF:
```
data_TlCuCl3
_cell_length_a 4.867
_cell_length_b 4.867
_cell_length_c 4.867
_cell_angle_alpha 90.00
_cell_angle_beta 90.00
_cell_angle_gamma 90.00
_space_group_name_H-M_alt 'P m -3 m'
_space_group_IT_number 221
_space_group_name_Hall '-P 4 2 3'
loop_
_atom_site_label
_atom_site_fract_x
_atom_site_fract_y
_atom_site_fract_z
Tl1 0.000 0.000 0.000
Cu1 0.500 0.500 0.500
Cl1 0.000 0.500 0.500
```